Entry 1:
Entry from the Materials Project database: crystalline Eu3Re at its relaxed geometry (PBE-GGA).

For the excess energy over the best structure of this formula in the dataset, the calculation gives 12 meV/atom. For the total magnetization, the calculation gives 5.126 μB/atom. The calculation puts the formation energy at 597 meV/atom. As for the total energy: -10.21 eV/atom.

abc: 5.301 5.301 5.301
angles: 60.00 60.00 60.00
Element x y z (fractional)
Eu 0.000 0.000 0.000
Eu 0.250 0.250 0.250
Eu 0.750 0.750 0.750
Re 0.500 0.500 0.500

***

Entry 2:
Entry from the Materials Project database: crystalline ZnGaPS at its relaxed geometry (PBE-GGA).

For the total magnetization, the calculation gives 0.000 μB/atom. The calculation puts the formation energy at -713 meV/atom. As for the total energy: -4.05 eV/atom.

abc: 6.721 6.721 6.721
angles: 33.53 33.53 33.53
Element x y z (fractional)
Zn 0.000 0.000 0.000
Ga 0.503 0.503 0.503
P 0.876 0.876 0.876
S 0.378 0.378 0.378

***

Entry 3:
Entry from the Materials Project database: crystalline TmLuIr2 at its relaxed geometry (PBE-GGA).

The calculation puts the formation energy at -965 meV/atom. As for the total energy: -7.63 eV/atom.

abc: 4.768 4.768 4.768
angles: 60.00 60.00 60.00
Element x y z (fractional)
Tm 0.000 0.000 0.000
Lu 0.500 0.500 0.500
Ir 0.250 0.250 0.250
Ir 0.750 0.750 0.750

***

Entry 4:
Entry from the Materials Project database: crystalline Ho2CuSi4O12 at its relaxed geometry (PBE-GGA).

For the total magnetization, the calculation gives 0.053 μB/atom. The calculation puts the formation energy at -3242 meV/atom. As for the total energy: -7.77 eV/atom.

abc: 4.815 7.086 7.822
angles: 65.45 86.44 77.05
Element x y z (fractional)
Ho 0.037 0.272 0.449
Ho 0.963 0.728 0.551
Cu 0.000 0.500 0.000
Si 0.425 0.889 0.796
Si 0.455 0.678 0.214
Si 0.545 0.322 0.786
Si 0.575 0.111 0.204
O 0.220 0.924 0.624
O 0.234 0.573 0.375
O 0.258 0.490 0.794
O 0.266 0.265 0.196
O 0.288 0.798 0.006
O 0.442 0.142 0.735
O 0.558 0.858 0.265
O 0.712 0.202 0.994
O 0.734 0.735 0.804
O 0.742 0.510 0.206
O 0.766 0.427 0.625
O 0.780 0.076 0.376